# 1
{"formula": "Cr5O12", "functional": "PBE+U", "state": "relaxed", "lattice_angstrom": [[8.985, 0.000, 0.000], [0.000, 9.060, 0.000], [0.000, 0.000, 12.536]], "species": ["Cr", "Cr", "Cr", "Cr", "Cr", "Cr", "Cr", "Cr", "Cr", "Cr", "Cr", "Cr", "Cr", "Cr", "Cr", "Cr", "Cr", "Cr", "Cr", "Cr", "O", "O", "O", "O", "O", "O", "O", "O", "O", "O", "O", "O", "O", "O", "O", "O", "O", "O", "O", "O", "O", "O", "O", "O", "O", "O", "O", "O", "O", "O", "O", "O", "O", "O", "O", "O", "O", "O", "O", "O", "O", "O", "O", "O", "O", "O", "O", "O"], "fractional_positions": [[0.750, 0.963, 0.500], [0.250, 0.037, 0.500], [0.468, 0.749, 0.620], [0.968, 0.251, 0.620], [0.106, 0.604, 0.645], [0.606, 0.396, 0.645], [0.606, 0.896, 0.855], [0.106, 0.104, 0.855], [0.968, 0.751, 0.880], [0.468, 0.249, 0.880], [0.250, 0.537, 0.000], [0.750, 0.463, 0.000], [0.532, 0.751, 0.120], [0.032, 0.249, 0.120], [0.894, 0.896, 0.145], [0.394, 0.104, 0.145], [0.394, 0.604, 0.355], [0.894, 0.396, 0.355], [0.032, 0.749, 0.380], [0.532, 0.251, 0.380], [0.057, 0.659, 0.524], [0.557, 0.341, 0.524], [0.859, 0.069, 0.574], [0.359, 0.931, 0.574], [0.653, 0.855, 0.582], [0.153, 0.145, 0.582], [0.594, 0.578, 0.659], [0.094, 0.422, 0.659], [0.282, 0.650, 0.669], [0.782, 0.350, 0.669], [0.989, 0.681, 0.732], [0.489, 0.319, 0.732], [0.489, 0.819, 0.768], [0.989, 0.181, 0.768], [0.282, 0.150, 0.831], [0.782, 0.850, 0.831], [0.094, 0.922, 0.841], [0.594, 0.078, 0.841], [0.153, 0.645, 0.918], [0.653, 0.355, 0.918], [0.859, 0.569, 0.926], [0.359, 0.431, 0.926], [0.057, 0.159, 0.976], [0.557, 0.841, 0.976], [0.943, 0.841, 0.024], [0.443, 0.159, 0.024], [0.641, 0.569, 0.074], [0.141, 0.431, 0.074], [0.347, 0.645, 0.082], [0.847, 0.355, 0.082], [0.406, 0.922, 0.159], [0.906, 0.078, 0.159], [0.718, 0.850, 0.169], [0.218, 0.150, 0.169], [0.011, 0.819, 0.232], [0.511, 0.181, 0.232], [0.511, 0.681, 0.268], [0.011, 0.319, 0.268], [0.218, 0.650, 0.331], [0.718, 0.350, 0.331], [0.906, 0.578, 0.341], [0.406, 0.422, 0.341], [0.847, 0.855, 0.418], [0.347, 0.145, 0.418], [0.141, 0.931, 0.426], [0.641, 0.069, 0.426], [0.443, 0.659, 0.476], [0.943, 0.341, 0.476]], "ef_kj_per_mol_atoms": -176.8, "corrected_energy_ev_per_cell": -555.15, "mass_density_g_cm3": 2.94, "polymorph_energy_ev_per_atom": 0.000, "total_magnetization_mub_per_cell": 24.00}

---

# 2
{"formula": "RbFeO2", "functional": "PBE+U", "state": "relaxed", "lattice_angstrom": [[2.479, -6.124, 0.000], [2.479, 6.124, 0.000], [0.000, 0.000, 5.550]], "species": ["Rb", "Rb", "Fe", "Fe", "O", "O", "O", "O"], "fractional_positions": [[0.693, 0.307, 0.750], [0.307, 0.693, 0.250], [0.998, 0.002, 0.750], [0.002, 0.998, 0.250], [0.897, 0.103, 0.496], [0.897, 0.103, 0.004], [0.103, 0.897, 0.504], [0.103, 0.897, 0.996]], "ef_kj_per_mol_atoms": -155.7, "corrected_energy_ev_per_cell": -51.61, "mass_density_g_cm3": 3.42, "total_magnetization_mub_per_cell": 6.00}

---

# 3
{"formula": "Li4Ni7P6O24", "functional": "PBE+U", "state": "relaxed", "lattice_angstrom": [[7.002, 5.140, 0.000], [-7.002, 5.140, 0.000], [0.000, 1.831, 6.246]], "species": ["Li", "Li", "Li", "Li", "Ni", "Ni", "Ni", "Ni", "Ni", "Ni", "Ni", "P", "P", "P", "P", "P", "P", "O", "O", "O", "O", "O", "O", "O", "O", "O", "O", "O", "O", "O", "O", "O", "O", "O", "O", "O", "O", "O", "O", "O", "O"], "fractional_positions": [[0.674, 0.455, 0.512], [0.992, 0.992, 0.502], [0.455, 0.674, 0.512], [0.355, 0.355, 0.418], [0.365, 0.009, 0.184], [0.640, 0.004, 0.810], [0.009, 0.365, 0.184], [0.004, 0.640, 0.810], [0.003, 0.003, 0.000], [0.682, 0.328, 0.998], [0.328, 0.682, 0.998], [0.337, 0.337, 0.911], [0.094, 0.723, 0.301], [0.284, 0.923, 0.695], [0.923, 0.284, 0.695], [0.672, 0.672, 0.077], [0.723, 0.094, 0.301], [0.202, 0.202, 0.860], [0.738, 0.281, 0.295], [0.281, 0.738, 0.295], [0.453, 0.453, 0.701], [0.574, 0.755, 0.936], [0.109, 0.911, 0.236], [0.435, 0.258, 0.057], [0.895, 0.093, 0.766], [0.641, 0.965, 0.511], [0.053, 0.353, 0.484], [0.739, 0.281, 0.697], [0.755, 0.574, 0.936], [0.965, 0.641, 0.511], [0.911, 0.109, 0.236], [0.054, 0.623, 0.123], [0.966, 0.385, 0.871], [0.623, 0.054, 0.123], [0.258, 0.435, 0.057], [0.805, 0.805, 0.134], [0.385, 0.966, 0.871], [0.553, 0.553, 0.284], [0.093, 0.895, 0.766], [0.281, 0.739, 0.697], [0.353, 0.053, 0.484]], "ef_kj_per_mol_atoms": -215.9, "corrected_energy_ev_per_cell": -291.08, "mass_density_g_cm3": 3.72, "polymorph_energy_ev_per_atom": 0.000, "total_magnetization_mub_per_cell": 14.00}

---

# 4
{"formula": "Li2Fe3WO8", "functional": "PBE+U", "state": "relaxed", "lattice_angstrom": [[-6.439, -0.779, 5.683], [-4.424, -4.833, -5.606], [3.649, -7.114, 3.207]], "species": ["Li", "Li", "Li", "Li", "Li", "Li", "Li", "Li", "Fe", "Fe", "Fe", "Fe", "Fe", "Fe", "Fe", "Fe", "Fe", "Fe", "Fe", "Fe", "W", "W", "W", "W", "O", "O", "O", "O", "O", "O", "O", "O", "O", "O", "O", "O", "O", "O", "O", "O", "O", "O", "O", "O", "O", "O", "O", "O", "O", "O", "O", "O", "O", "O", "O", "O"], "fractional_positions": [[0.997, 0.752, 0.625], [0.254, 0.502, 0.879], [0.754, 0.502, 0.372], [0.498, 0.246, 0.628], [0.002, 0.251, 0.128], [0.749, 0.998, 0.872], [0.248, 0.003, 0.375], [0.498, 0.746, 0.121], [0.626, 0.630, 0.758], [0.869, 0.625, 0.006], [0.111, 0.621, 0.248], [0.616, 0.384, 0.000], [0.370, 0.374, 0.242], [0.123, 0.367, 0.492], [0.375, 0.131, 0.994], [0.132, 0.123, 0.743], [0.880, 0.120, 0.500], [0.379, 0.889, 0.752], [0.633, 0.877, 0.508], [0.877, 0.868, 0.257], [0.375, 0.625, 0.500], [0.878, 0.375, 0.753], [0.625, 0.122, 0.247], [0.125, 0.875, 0.000], [0.385, 0.628, 0.726], [0.603, 0.634, 0.506], [0.892, 0.631, 0.248], [0.860, 0.602, 0.746], [0.122, 0.645, 0.012], [0.631, 0.609, 0.987], [0.372, 0.615, 0.274], [0.148, 0.618, 0.493], [0.645, 0.386, 0.758], [0.865, 0.372, 0.976], [0.140, 0.388, 0.262], [0.614, 0.355, 0.242], [0.366, 0.397, 0.494], [0.391, 0.369, 0.013], [0.101, 0.380, 0.738], [0.884, 0.367, 0.520], [0.628, 0.135, 0.024], [0.398, 0.140, 0.254], [0.109, 0.141, 0.504], [0.128, 0.099, 0.997], [0.872, 0.150, 0.736], [0.369, 0.108, 0.752], [0.633, 0.116, 0.480], [0.850, 0.128, 0.264], [0.355, 0.878, 0.988], [0.138, 0.869, 0.773], [0.859, 0.891, 0.496], [0.382, 0.852, 0.507], [0.620, 0.899, 0.262], [0.612, 0.860, 0.738], [0.901, 0.872, 0.003], [0.131, 0.862, 0.227]], "ef_kj_per_mol_atoms": -187.8, "corrected_energy_ev_per_cell": -436.09, "mass_density_g_cm3": 5.11, "polymorph_energy_ev_per_atom": 0.021, "total_magnetization_mub_per_cell": 56.00}

---

# 5
{"formula": "Ti3V2FeP6O24", "functional": "PBE+U", "state": "relaxed", "lattice_angstrom": [[-6.789, 4.540, 2.525], [-7.405, -1.008, -4.153], [-6.419, -4.039, 3.947]], "species": ["Ti", "Ti", "Ti", "V", "V", "Fe", "P", "P", "P", "P", "P", "P", "O", "O", "O", "O", "O", "O", "O", "O", "O", "O", "O", "O", "O", "O", "O", "O", "O", "O", "O", "O", "O", "O", "O", "O"], "fractional_positions": [[0.355, 0.355, 0.355], [0.142, 0.142, 0.142], [0.645, 0.645, 0.645], [0.999, 0.999, 0.999], [0.499, 0.499, 0.499], [0.857, 0.857, 0.857], [0.751, 0.046, 0.456], [0.046, 0.456, 0.751], [0.456, 0.751, 0.046], [0.543, 0.252, 0.955], [0.955, 0.543, 0.252], [0.252, 0.955, 0.543], [0.882, 0.503, 0.685], [0.503, 0.685, 0.882], [0.685, 0.882, 0.503], [0.909, 0.058, 0.257], [0.817, 0.016, 0.605], [0.589, 0.242, 0.433], [0.058, 0.257, 0.909], [0.242, 0.433, 0.589], [0.381, 0.185, 0.000], [0.433, 0.589, 0.242], [0.735, 0.099, 0.948], [0.000, 0.381, 0.185], [0.016, 0.605, 0.817], [0.257, 0.909, 0.058], [0.554, 0.413, 0.760], [0.605, 0.817, 0.016], [0.760, 0.554, 0.413], [0.948, 0.735, 0.099], [0.413, 0.760, 0.554], [0.185, 0.000, 0.381], [0.099, 0.948, 0.735], [0.329, 0.113, 0.487], [0.487, 0.329, 0.113], [0.113, 0.487, 0.329]], "ef_kj_per_mol_atoms": -273.4, "corrected_energy_ev_per_cell": -303.58, "mass_density_g_cm3": 3.19, "total_magnetization_mub_per_cell": 10.00}

---

# 6
{"formula": "Sr3NdFe2O8", "functional": "PBE+U", "state": "relaxed", "lattice_angstrom": [[2.739, -6.351, 0.000], [2.739, 6.351, 0.000], [0.000, 0.000, 5.493]], "species": ["Sr", "Sr", "Sr", "Nd", "Fe", "Fe", "O", "O", "O", "O", "O", "O", "O", "O"], "fractional_positions": [[0.646, 0.354, 0.000], [0.356, 0.644, 0.000], [0.855, 0.145, 0.500], [0.141, 0.859, 0.500], [0.501, 0.499, 0.500], [0.997, 0.003, 0.000], [0.842, 0.158, 0.000], [0.323, 0.677, 0.500], [0.665, 0.335, 0.500], [0.161, 0.839, 0.000], [0.253, 0.245, 0.258], [0.755, 0.747, 0.742], [0.755, 0.747, 0.258], [0.253, 0.245, 0.742]], "ef_kj_per_mol_atoms": -259.8, "corrected_energy_ev_per_cell": -104.06, "mass_density_g_cm3": 5.62, "total_magnetization_mub_per_cell": 9.00}

---

# 7
{"formula": "Li2ZnFeP2O8", "functional": "PBE+U", "state": "relaxed", "lattice_angstrom": [[-0.012, 6.053, 4.760], [-0.012, -6.054, 4.761], [10.357, 0.000, -0.029]], "species": ["Li", "Li", "Li", "Li", "Li", "Li", "Li", "Li", "Zn", "Zn", "Zn", "Zn", "Fe", "Fe", "Fe", "Fe", "P", "P", "P", "P", "P", "P", "P", "P", "O", "O", "O", "O", "O", "O", "O", "O", "O", "O", "O", "O", "O", "O", "O", "O", "O", "O", "O", "O", "O", "O", "O", "O", "O", "O", "O", "O", "O", "O", "O", "O"], "fractional_positions": [[0.000, 0.000, 0.000], [0.500, 0.500, 0.000], [0.250, 0.750, 0.000], [0.750, 0.250, 0.000], [0.250, 0.250, 0.500], [0.750, 0.750, 0.500], [0.500, 0.000, 0.500], [0.000, 0.500, 0.500], [0.613, 0.363, 0.283], [0.113, 0.863, 0.283], [0.387, 0.637, 0.717], [0.887, 0.137, 0.717], [0.112, 0.362, 0.220], [0.887, 0.637, 0.780], [0.612, 0.862, 0.220], [0.388, 0.138, 0.780], [0.334, 0.084, 0.096], [0.834, 0.584, 0.096], [0.666, 0.916, 0.904], [0.166, 0.416, 0.904], [0.834, 0.084, 0.407], [0.334, 0.584, 0.407], [0.166, 0.916, 0.593], [0.666, 0.416, 0.593], [0.728, 0.978, 0.044], [0.228, 0.478, 0.044], [0.272, 0.022, 0.956], [0.772, 0.522, 0.956], [0.495, 0.245, 0.100], [0.995, 0.745, 0.100], [0.505, 0.755, 0.900], [0.005, 0.255, 0.900], [0.495, 0.745, 0.405], [0.995, 0.245, 0.405], [0.505, 0.255, 0.595], [0.005, 0.755, 0.595], [0.228, 0.978, 0.454], [0.728, 0.478, 0.454], [0.772, 0.022, 0.546], [0.272, 0.522, 0.546], [0.165, 0.118, 0.166], [0.665, 0.618, 0.166], [0.368, 0.915, 0.166], [0.868, 0.414, 0.166], [0.632, 0.085, 0.834], [0.132, 0.586, 0.834], [0.836, 0.882, 0.834], [0.335, 0.382, 0.834], [0.868, 0.914, 0.336], [0.369, 0.414, 0.336], [0.664, 0.119, 0.336], [0.164, 0.619, 0.336], [0.132, 0.086, 0.664], [0.631, 0.586, 0.664], [0.336, 0.881, 0.664], [0.836, 0.382, 0.664]], "ef_kj_per_mol_atoms": -240.2, "corrected_energy_ev_per_cell": -395.23, "mass_density_g_cm3": 3.62, "total_magnetization_mub_per_cell": 0.00}

---

# 8
{"formula": "BaCaCrSnO6", "functional": "PBE+U", "state": "relaxed", "lattice_angstrom": [[0.000, -4.028, -4.028], [4.028, 0.000, -4.028], [4.028, -4.028, 0.000]], "species": ["Ba", "Ca", "Cr", "Sn", "O", "O", "O", "O", "O", "O"], "fractional_positions": [[0.750, 0.750, 0.750], [0.250, 0.250, 0.250], [0.000, 0.000, 0.000], [0.500, 0.500, 0.500], [0.756, 0.244, 0.244], [0.244, 0.756, 0.756], [0.756, 0.244, 0.756], [0.244, 0.756, 0.244], [0.756, 0.756, 0.244], [0.244, 0.244, 0.756]], "ef_kj_per_mol_atoms": -238.3, "corrected_energy_ev_per_cell": -71.97, "mass_density_g_cm3": 5.64, "total_magnetization_mub_per_cell": 2.00}

---

# 9
{"formula": "MgCrCo2O6", "functional": "PBE+U", "state": "relaxed", "lattice_angstrom": [[6.062, -2.708, 0.197], [0.038, -1.562, 2.588], [-3.664, -4.113, -2.608]], "species": ["Mg", "Cr", "Co", "Co", "O", "O", "O", "O", "O", "O"], "fractional_positions": [[0.176, 0.886, 0.739], [0.347, 0.324, 0.319], [0.965, 0.020, 0.061], [0.685, 0.654, 0.656], [0.023, 0.501, 0.264], [0.376, 0.820, 0.550], [0.683, 0.164, 0.859], [0.289, 0.844, 0.090], [0.670, 0.155, 0.453], [0.987, 0.491, 0.774]], "ef_kj_per_mol_atoms": -162.5, "corrected_energy_ev_per_cell": -72.00, "mass_density_g_cm3": 4.25, "polymorph_energy_ev_per_atom": 0.032, "total_magnetization_mub_per_cell": 7.98}

---

Copy entry 8 word for word.
{"formula": "BaCaCrSnO6", "functional": "PBE+U", "state": "relaxed", "lattice_angstrom": [[0.000, -4.028, -4.028], [4.028, 0.000, -4.028], [4.028, -4.028, 0.000]], "species": ["Ba", "Ca", "Cr", "Sn", "O", "O", "O", "O", "O", "O"], "fractional_positions": [[0.750, 0.750, 0.750], [0.250, 0.250, 0.250], [0.000, 0.000, 0.000], [0.500, 0.500, 0.500], [0.756, 0.244, 0.244], [0.244, 0.756, 0.756], [0.756, 0.244, 0.756], [0.244, 0.756, 0.244], [0.756, 0.756, 0.244], [0.244, 0.244, 0.756]], "ef_kj_per_mol_atoms": -238.3, "corrected_energy_ev_per_cell": -71.97, "mass_density_g_cm3": 5.64, "total_magnetization_mub_per_cell": 2.00}